[1]
## Na2Te4O9 (PBE)

Data for Na2Te4O9 after structural relaxation.

```
Na2Te4O9
1.0
7.007 -0.062 -0.059
2.584 6.546 2.578
-0.110 -0.069 10.774
Na Te O
4 8 18
direct
0.017 0.179 0.366
0.983 0.821 0.634
0.520 0.219 0.514
0.480 0.781 0.486
0.977 0.323 0.671
0.023 0.677 0.329
0.475 0.210 0.199
0.525 0.790 0.801
0.541 0.630 0.219
0.459 0.370 0.781
0.992 0.287 0.006
0.008 0.713 0.994
0.040 0.156 0.860
0.960 0.844 0.140
0.965 0.875 0.403
0.035 0.125 0.597
0.282 0.144 0.092
0.718 0.856 0.908
0.660 0.332 0.665
0.340 0.668 0.335
0.939 0.494 0.115
0.061 0.506 0.885
0.360 0.144 0.354
0.640 0.856 0.646
0.333 0.503 0.116
0.667 0.497 0.884
0.340 0.660 0.698
0.660 0.340 0.302
0.718 0.683 0.335
0.282 0.317 0.665
```

- MP2020-corrected energy (eV per atom) = -5.64
- energy of formation (meV/atom) = -1657
- V (Å³/cell) = 497.2
- energy above the lowest structure with this stoichiometry (meV/atom) = 0.0

=====

[2]
## Na4U3Te5O21 (PBE)

Data for Na4U3Te5O21 after structural relaxation.

```
Na4U3Te5O21
1.0
-8.556 8.546 -8.527
8.562 -8.565 -8.551
-8.536 -8.544 -8.546
Na U Te O
16 12 20 84
direct
0.750 0.972 0.779
0.222 0.251 0.528
0.473 0.722 0.249
0.278 0.750 0.972
0.027 0.777 0.751
0.250 0.528 0.722
0.750 0.773 0.977
0.024 0.250 0.726
0.274 0.524 0.250
0.477 0.750 0.774
0.226 0.977 0.750
0.250 0.726 0.524
0.843 0.844 0.420
0.583 0.345 0.651
0.350 0.084 0.154
0.915 0.268 0.237
0.747 0.741 0.730
0.271 0.247 0.758
0.243 0.772 0.253
0.753 0.024 0.005
0.229 0.472 0.024
0.256 0.005 0.470
0.531 0.757 0.494
0.994 0.252 0.476
0.975 0.728 0.028
0.971 0.475 0.772
0.505 0.030 0.744
0.524 0.496 0.247
0.789 0.548 0.960
0.043 0.290 0.949
0.049 0.544 0.211
0.710 0.750 0.240
0.457 0.508 0.753
0.450 0.239 0.505
0.495 0.951 0.261
0.760 0.209 0.749
0.247 0.957 0.992
0.008 0.747 0.542
0.738 0.993 0.551
0.250 0.260 0.290
0.500 0.522 0.001
0.999 0.999 0.978
0.022 0.499 0.501
0.478 0.978 0.522
0.000 0.000 0.525
0.475 0.501 0.500
0.501 0.975 0.999
0.025 0.526 0.973
0.869 0.907 0.532
0.469 0.370 0.593
0.408 0.969 0.130
0.636 0.096 0.958
0.033 0.440 0.098
0.095 0.963 0.441
0.558 0.596 0.539
0.039 0.134 0.405
0.904 0.538 0.054
0.945 0.404 0.961
0.463 0.058 0.904
0.595 0.541 0.366
0.725 0.591 0.869
0.132 0.225 0.909
0.092 0.633 0.275
0.776 0.905 0.135
0.369 0.459 0.907
0.407 0.133 0.459
0.543 0.909 0.367
0.865 0.274 0.594
0.094 0.869 0.041
0.960 0.594 0.629
0.634 0.043 0.591
0.404 0.365 0.224
0.796 0.830 0.787
0.213 0.295 0.670
0.331 0.713 0.204
0.704 0.917 0.966
0.287 0.618 0.917
0.169 0.965 0.616
0.384 0.670 0.534
0.034 0.205 0.582
0.083 0.787 0.882
0.117 0.583 0.714
0.466 0.884 0.830
0.417 0.535 0.297
0.713 0.667 0.657
0.343 0.213 0.833
0.168 0.843 0.288
0.794 0.128 0.046
0.157 0.325 0.132
0.336 0.050 0.320
0.681 0.837 0.450
0.949 0.285 0.371
0.871 0.665 0.173
0.827 0.371 0.834
0.550 0.180 0.664
0.628 0.456 0.206
0.566 0.653 0.862
0.138 0.066 0.846
0.154 0.637 0.434
0.935 0.071 0.910
0.363 0.517 0.071
0.347 0.913 0.515
0.485 0.847 0.587
0.086 0.434 0.427
0.930 0.864 0.980
0.020 0.429 0.635
0.413 0.985 0.653
0.570 0.590 0.065
0.851 0.684 0.955
0.047 0.352 0.814
0.183 0.544 0.150
0.648 0.694 0.166
0.456 0.641 0.693
0.318 0.168 0.640
0.361 0.818 0.333
0.835 0.148 0.806
0.307 0.957 0.859
0.141 0.808 0.543
0.667 0.860 0.684
0.192 0.333 0.351
0.923 0.581 0.842
0.159 0.424 0.918
0.082 0.658 0.076
0.576 0.734 0.343
0.342 0.424 0.733
0.418 0.342 0.425
0.575 0.918 0.158
0.658 0.075 0.766
0.267 0.843 0.076
0.925 0.767 0.657
0.842 0.075 0.583
0.232 0.157 0.425
```

- MP2020-corrected energy (eV per atom) = -7.21
- energy of formation (meV/atom) = -2402
- V (Å³/cell) = 2495.1

=====

[3]
## NaUTe2O8 (PBE)

Data for NaUTe2O8 after structural relaxation.

```
NaUTe2O8
1.0
7.883 0.000 0.000
0.000 6.000 0.000
0.000 0.000 7.908
Na U Te O
2 2 4 16
direct
0.500 0.980 0.500
0.000 0.020 0.000
0.000 0.998 0.499
0.500 0.002 0.999
0.252 0.563 0.736
0.748 0.563 0.736
0.248 0.437 0.236
0.752 0.437 0.236
0.000 0.119 0.715
0.500 0.881 0.215
0.000 0.885 0.283
0.500 0.115 0.783
0.297 0.750 0.930
0.703 0.750 0.930
0.203 0.250 0.430
0.797 0.250 0.430
0.226 0.768 0.551
0.774 0.768 0.551
0.274 0.232 0.051
0.726 0.232 0.051
0.500 0.591 0.665
0.000 0.409 0.165
0.000 0.646 0.782
0.500 0.354 0.282
```

- MP2020-corrected energy (eV per atom) = -7.08
- energy of formation (meV/atom) = -2211
- V (Å³/cell) = 374.0

=====

[4]
## Na2UTe2O10 (PBE)

Data for Na2UTe2O10 after structural relaxation.

```
Na2UTe2O10
1.0
0.000 -3.935 0.000
-6.468 1.967 0.309
-0.168 0.000 -8.607
Na U Te O
2 1 2 10
direct
0.093 0.185 0.931
0.527 0.055 0.499
0.810 0.620 0.718
0.240 0.479 0.364
0.378 0.756 0.072
0.950 0.901 0.690
0.228 0.455 0.135
0.860 0.719 0.024
0.669 0.339 0.749
0.101 0.203 0.402
0.300 0.600 0.575
0.390 0.779 0.300
0.516 0.033 0.035
0.319 0.637 0.861
0.756 0.513 0.411
```

- MP2020-corrected energy (eV per atom) = -6.84
- energy of formation (meV/atom) = -2191
- V (Å³/cell) = 219.2

=====

Q: Look up the energy of formation of the third one.
A: -2211 meV/atom

=====

Q: Which value of MP2020-corrected energy does entry 3 give?
A: -7.08 eV per atom

=====

Q: What is the V in the first record?
A: 497.2 Å³/cell